# NdHoZr2O7 (GGA-PBE, relaxed)
# size of the total moment: 0.0 μB/f.u.
# total energy: -8.9666 eV per atom
# ΔH_f (0 K): -3.851 eV/atom
data_NdHoZr2O7
_symmetry_space_group_name_H-M 'I m m a'
_symmetry_Int_Tables_number 74
_symmetry_space_group_name_Hall '-I 2b 2'
_cell_length_a 7.5568
_cell_length_b 7.5640
_cell_length_c 10.7030
_cell_angle_alpha 90.00
_cell_angle_beta 90.00
_cell_angle_gamma 90.00
loop_
_atom_site_label
_atom_site_fract_x
_atom_site_fract_y
_atom_site_fract_z
_atom_site_occupancy
Nd1 0.2500 0.2500 0.2500 1
Ho1 0.0000 0.0000 0.0000 1
Zr1 0.0000 0.0000 0.5000 1
Zr2 0.2500 0.2500 0.7500 1
O1 0.0000 0.2500 0.1160 1
O2 0.0000 0.2500 0.4120 1
O3 0.0000 0.2500 0.8379 1
O4 0.2148 0.0383 0.6237 1